[1]
Computed, not measured: a relaxed CsGeI3 crystal at the meta-GGA r2SCAN level of DFT.

Cell lengths 6.066, 6.066, 6.128 Å; angles 92.18, 92.18, 88.27 degrees
Sites, in units of the cell vectors:
Cs  0.000  0.000  0.000
Ge  0.462  0.462  0.548
I  0.009  0.498  0.507
I  0.498  0.009  0.507
I  0.501  0.501  0.994

energy of formation = -930 meV per atom
VASP energy = -23.461 eV/atom

=====

[2]
Computed, not measured: a relaxed LiAg3 crystal at the meta-GGA r2SCAN level of DFT.

Cell lengths 4.045, 4.045, 4.045 Å; angles 90.00, 90.00, 90.00 degrees
Sites, in units of the cell vectors:
Li  0.000  0.000  0.000
Ag  0.000  0.500  0.500
Ag  0.500  0.000  0.500
Ag  0.500  0.500  0.000

energy of formation = -120 meV per atom
VASP energy = -16.734 eV/atom

=====

[3]
Computed, not measured: a relaxed Cs crystal at the meta-GGA r2SCAN level of DFT.

Cell lengths 10.253, 10.253, 10.253 Å; angles 151.15, 151.15, 41.25 degrees
Sites, in units of the cell vectors:
Cs  0.375  0.625  0.750
Cs  0.625  0.375  0.250

ΔE to the lowest computed polymorph = 0.074 eV/atom
energy of formation = 74 meV per atom
VASP energy = -25.034 eV/atom

=====

[4]
Computed, not measured: a relaxed AsS3Cl3F6 crystal at the meta-GGA r2SCAN level of DFT.

Cell lengths 7.632, 7.935, 9.996 Å; angles 78.71, 67.85, 65.03 degrees
Sites, in units of the cell vectors:
As  0.041  0.256  0.252
As  0.959  0.744  0.748
S  0.261  0.168  0.573
S  0.480  0.701  0.103
S  0.481  0.240  0.471
S  0.519  0.760  0.529
S  0.520  0.299  0.897
S  0.739  0.832  0.427
Cl  0.193  0.169  0.791
Cl  0.286  0.680  0.298
Cl  0.339  0.724  0.968
Cl  0.661  0.276  0.032
Cl  0.714  0.320  0.702
Cl  0.807  0.831  0.209
F  0.018  0.613  0.604
F  0.066  0.893  0.627
F  0.098  0.125  0.108
F  0.148  0.405  0.131
F  0.199  0.605  0.765
F  0.279  0.116  0.271
F  0.721  0.884  0.729
F  0.801  0.395  0.235
F  0.852  0.595  0.869
F  0.902  0.875  0.892
F  0.934  0.107  0.373
F  0.982  0.387  0.396

energy of formation = -1256 meV per atom
VASP energy = -7.104 eV/atom

=====

[5]
Computed, not measured: a relaxed KZrCuS3 crystal at the meta-GGA r2SCAN level of DFT.

Cell lengths 7.300, 7.300, 9.807 Å; angles 90.00, 90.00, 150.21 degrees
Sites, in units of the cell vectors:
K  0.245  0.755  0.750
K  0.755  0.245  0.250
Zr  0.500  0.500  0.000
Zr  0.500  0.500  0.500
Cu  0.033  0.967  0.250
Cu  0.967  0.033  0.750
S  0.121  0.879  0.055
S  0.121  0.879  0.445
S  0.436  0.564  0.250
S  0.564  0.436  0.750
S  0.879  0.121  0.555
S  0.879  0.121  0.945

energy of formation = -1482 meV per atom
VASP energy = -12.102 eV/atom

=====

[6]
Computed, not measured: a relaxed Rb2NdI5 crystal at the meta-GGA r2SCAN level of DFT.

Cell lengths 14.803, 10.011, 9.356 Å; angles 90.00, 90.00, 90.00 degrees
Sites, in units of the cell vectors:
Rb  0.173  0.004  0.062
Rb  0.173  0.496  0.062
Rb  0.327  0.504  0.562
Rb  0.327  0.996  0.562
Rb  0.673  0.004  0.438
Rb  0.673  0.496  0.438
Rb  0.827  0.504  0.938
Rb  0.827  0.996  0.938
Nd  0.005  0.250  0.579
Nd  0.495  0.750  0.079
Nd  0.505  0.250  0.921
Nd  0.995  0.750  0.421
I  0.010  0.250  0.925
I  0.073  0.545  0.667
I  0.073  0.955  0.667
I  0.179  0.250  0.381
I  0.203  0.750  0.343
I  0.297  0.250  0.843
I  0.321  0.750  0.881
I  0.427  0.045  0.167
I  0.427  0.455  0.167
I  0.490  0.750  0.425
I  0.510  0.250  0.575
I  0.573  0.545  0.833
I  0.573  0.955  0.833
I  0.679  0.250  0.119
I  0.703  0.750  0.157
I  0.797  0.250  0.657
I  0.821  0.750  0.619
I  0.927  0.045  0.333
I  0.927  0.455  0.333
I  0.990  0.750  0.075

energy of formation = -1725 meV per atom
VASP energy = -24.234 eV/atom

=====

[7]
Computed, not measured: a relaxed NbZn3 crystal at the meta-GGA r2SCAN level of DFT.

Cell lengths 3.910, 3.910, 3.910 Å; angles 90.00, 90.00, 90.00 degrees
Sites, in units of the cell vectors:
Nb  0.000  0.000  0.000
Zn  0.000  0.500  0.500
Zn  0.500  0.000  0.500
Zn  0.500  0.500  0.000

energy of formation = -194 meV per atom
VASP energy = -13.061 eV/atom

=====

[8]
Computed, not measured: a relaxed Zr9Pd11 crystal at the meta-GGA r2SCAN level of DFT.

Cell lengths 8.104, 8.104, 8.104 Å; angles 100.18, 100.18, 130.28 degrees
Sites, in units of the cell vectors:
Zr  0.000  0.000  0.000
Zr  0.094  0.308  0.402
Zr  0.244  0.584  0.828
Zr  0.308  0.906  0.214
Zr  0.416  0.244  0.660
Zr  0.584  0.756  0.340
Zr  0.692  0.094  0.786
Zr  0.756  0.416  0.172
Zr  0.906  0.692  0.598
Pd  0.015  0.903  0.340
Pd  0.097  0.436  0.111
Pd  0.250  0.750  0.500
Pd  0.325  0.985  0.889
Pd  0.436  0.325  0.340
Pd  0.500  0.500  0.000
Pd  0.564  0.675  0.660
Pd  0.675  0.015  0.111
Pd  0.750  0.250  0.500
Pd  0.903  0.564  0.889
Pd  0.985  0.097  0.660

energy of formation = -673 meV per atom
VASP energy = -23.538 eV/atom

=====

[9]
Computed, not measured: a relaxed Tb6Nb4Al43 crystal at the meta-GGA r2SCAN level of DFT.

Cell lengths 11.043, 11.043, 17.793 Å; angles 90.00, 90.00, 120.00 degrees
Sites, in units of the cell vectors:
Tb  0.000  0.469  0.096
Tb  0.000  0.469  0.404
Tb  0.000  0.531  0.596
Tb  0.000  0.531  0.904
Tb  0.469  0.000  0.096
Tb  0.469  0.000  0.404
Tb  0.469  0.469  0.596
Tb  0.469  0.469  0.904
Tb  0.531  0.000  0.596
Tb  0.531  0.000  0.904
Tb  0.531  0.531  0.096
Tb  0.531  0.531  0.404
Nb  0.000  0.000  0.000
Nb  0.000  0.000  0.500
Nb  0.000  0.273  0.250
Nb  0.000  0.727  0.750
Nb  0.273  0.000  0.250
Nb  0.273  0.273  0.750
Nb  0.727  0.000  0.750
Nb  0.727  0.727  0.250
Al  0.000  0.148  0.750
Al  0.000  0.159  0.115
Al  0.000  0.159  0.385
Al  0.000  0.255  0.530
Al  0.000  0.255  0.970
Al  0.000  0.745  0.030
Al  0.000  0.745  0.470
Al  0.000  0.841  0.615
Al  0.000  0.841  0.885
Al  0.000  0.852  0.250
Al  0.148  0.000  0.750
Al  0.148  0.148  0.250
Al  0.153  0.556  0.250
Al  0.153  0.597  0.750
Al  0.158  0.395  0.663
Al  0.158  0.395  0.837
Al  0.158  0.763  0.163
Al  0.158  0.763  0.337
Al  0.159  0.000  0.115
Al  0.159  0.000  0.385
Al  0.159  0.159  0.615
Al  0.159  0.159  0.885
Al  0.237  0.395  0.163
Al  0.237  0.395  0.337
Al  0.237  0.842  0.663
Al  0.237  0.842  0.837
Al  0.248  0.495  0.000
Al  0.248  0.495  0.500
Al  0.248  0.752  0.000
Al  0.248  0.752  0.500
Al  0.255  0.000  0.530
Al  0.255  0.000  0.970
Al  0.255  0.255  0.030
Al  0.255  0.255  0.470
Al  0.333  0.667  0.125
Al  0.333  0.667  0.375
Al  0.333  0.667  0.625
Al  0.333  0.667  0.875
Al  0.395  0.158  0.663
Al  0.395  0.158  0.837
Al  0.395  0.237  0.163
Al  0.395  0.237  0.337
Al  0.403  0.556  0.750
Al  0.403  0.847  0.250
Al  0.444  0.597  0.250
Al  0.444  0.847  0.750
Al  0.495  0.248  0.000
Al  0.495  0.248  0.500
Al  0.505  0.752  0.000
Al  0.505  0.752  0.500
Al  0.556  0.153  0.250
Al  0.556  0.403  0.750
Al  0.597  0.153  0.750
Al  0.597  0.444  0.250
Al  0.605  0.763  0.663
Al  0.605  0.763  0.837
Al  0.605  0.842  0.163
Al  0.605  0.842  0.337
Al  0.667  0.333  0.125
Al  0.667  0.333  0.375
Al  0.667  0.333  0.625
Al  0.667  0.333  0.875
Al  0.745  0.000  0.030
Al  0.745  0.000  0.470
Al  0.745  0.745  0.530
Al  0.745  0.745  0.970
Al  0.752  0.248  0.000
Al  0.752  0.248  0.500
Al  0.752  0.505  0.000
Al  0.752  0.505  0.500
Al  0.763  0.158  0.163
Al  0.763  0.158  0.337
Al  0.763  0.605  0.663
Al  0.763  0.605  0.837
Al  0.841  0.000  0.615
Al  0.841  0.000  0.885
Al  0.841  0.841  0.115
Al  0.841  0.841  0.385
Al  0.842  0.237  0.663
Al  0.842  0.237  0.837
Al  0.842  0.605  0.163
Al  0.842  0.605  0.337
Al  0.847  0.403  0.250
Al  0.847  0.444  0.750
Al  0.852  0.000  0.250
Al  0.852  0.852  0.750

energy of formation = -368 meV per atom
VASP energy = -11.232 eV/atom

=====

[10]
Computed, not measured: a relaxed Er2Ga9Rh3 crystal at the meta-GGA r2SCAN level of DFT.

Cell lengths 7.453, 7.453, 9.447 Å; angles 90.00, 90.00, 60.26 degrees
Sites, in units of the cell vectors:
Er  0.002  0.670  0.750
Er  0.330  0.998  0.750
Er  0.670  0.002  0.250
Er  0.998  0.330  0.250
Ga  0.001  0.665  0.078
Ga  0.001  0.665  0.422
Ga  0.128  0.872  0.250
Ga  0.334  0.666  0.567
Ga  0.334  0.666  0.933
Ga  0.335  0.999  0.078
Ga  0.335  0.999  0.422
Ga  0.337  0.454  0.250
Ga  0.454  0.337  0.750
Ga  0.546  0.663  0.250
Ga  0.663  0.546  0.750
Ga  0.665  0.001  0.578
Ga  0.665  0.001  0.922
Ga  0.666  0.334  0.067
Ga  0.666  0.334  0.433
Ga  0.872  0.128  0.750
Ga  0.999  0.335  0.578
Ga  0.999  0.335  0.922
Rh  0.000  0.000  0.000
Rh  0.000  0.000  0.500
Rh  0.328  0.328  0.000
Rh  0.328  0.328  0.500
Rh  0.672  0.672  0.000
Rh  0.672  0.672  0.500

energy of formation = -759 meV per atom
VASP energy = -18.134 eV/atom

=====

[11]
Computed, not measured: a relaxed Ca2SnGe2 crystal at the meta-GGA r2SCAN level of DFT.

Cell lengths 7.412, 7.412, 4.474 Å; angles 90.00, 90.00, 90.00 degrees
Sites, in units of the cell vectors:
Ca  0.177  0.323  0.000
Ca  0.323  0.823  0.000
Ca  0.677  0.177  0.000
Ca  0.823  0.677  0.000
Sn  0.000  0.000  0.500
Sn  0.500  0.500  0.500
Ge  0.118  0.618  0.500
Ge  0.382  0.118  0.500
Ge  0.618  0.882  0.500
Ge  0.882  0.382  0.500

energy of formation = -615 meV per atom
VASP energy = -13.929 eV/atom

=====

[12]
Computed, not measured: a relaxed CsSbSe2 crystal at the meta-GGA r2SCAN level of DFT.

Cell lengths 7.853, 10.260, 7.509 Å; angles 90.00, 102.31, 90.00 degrees
Sites, in units of the cell vectors:
Cs  0.157  0.064  0.286
Cs  0.157  0.436  0.786
Cs  0.843  0.564  0.214
Cs  0.843  0.936  0.714
Sb  0.411  0.666  0.363
Sb  0.411  0.834  0.863
Sb  0.589  0.166  0.137
Sb  0.589  0.334  0.637
Se  0.186  0.748  0.544
Se  0.186  0.752  0.044
Se  0.322  0.071  0.801
Se  0.322  0.429  0.301
Se  0.678  0.571  0.699
Se  0.678  0.929  0.199
Se  0.814  0.248  0.956
Se  0.814  0.252  0.456

energy of formation = -835 meV per atom
VASP energy = -20.695 eV/atom

=====

Which of these has the lowest energy of formation? Rb2NdI5